No. 1
A relaxed structure of Sr9Ni7O21, computed with PBE with a Hubbard U.

Geometry as CIF:
```
data_Sr9Ni7O21
_space_group_name_H-M_alt 'P 1'
_space_group_IT_number 1
_cell_length_a 9.537
_cell_length_b 9.571
_cell_length_c 13.287
_cell_angle_alpha 90.07
_cell_angle_beta 111.00
_cell_angle_gamma 119.83
loop_
_space_group_symop_operation_xyz
'x,y,z'
loop_
_atom_site_label
_atom_site_type_symbol
_atom_site_fract_x
_atom_site_fract_y
_atom_site_fract_z
_atom_site_occupancy
Sr1 Sr 0.000 0.000 0.000 1
Sr2 Sr 0.001 0.172 0.500 1
Sr3 Sr 0.108 0.535 0.665 1
Sr4 Sr 0.112 0.746 0.166 1
Sr5 Sr 0.195 0.117 0.326 1
Sr6 Sr 0.200 0.258 0.831 1
Sr7 Sr 0.321 0.823 0.495 1
Sr8 Sr 0.325 0.662 0.994 1
Sr9 Sr 0.458 0.387 0.159 1
Sr10 Sr 0.460 0.246 0.663 1
Sr11 Sr 0.541 0.963 0.833 1
Sr12 Sr 0.546 0.751 0.331 1
Sr13 Sr 0.657 0.329 0.003 1
Sr14 Sr 0.658 0.492 0.491 1
Sr15 Sr 0.740 0.884 0.659 1
Sr16 Sr 0.747 0.037 0.168 1
Sr17 Sr 0.909 0.467 0.334 1
Sr18 Sr 0.912 0.606 0.832 1
Ni1 Ni 0.102 0.382 0.170 1
Ni2 Ni 0.105 0.949 0.673 1
Ni3 Ni 0.253 0.950 0.891 1
Ni4 Ni 0.265 0.467 0.395 1
Ni5 Ni 0.392 0.522 0.604 1
Ni6 Ni 0.394 0.034 0.100 1
Ni7 Ni 0.540 0.099 0.325 1
Ni8 Ni 0.609 0.673 0.823 1
Ni9 Ni 0.682 0.673 0.042 1
Ni10 Ni 0.685 0.174 0.543 1
Ni11 Ni 0.822 0.244 0.748 1
Ni12 Ni 0.830 0.757 0.248 1
Ni13 Ni 0.955 0.309 0.952 1
Ni14 Ni 0.966 0.808 0.453 1
O1 O 0.020 0.662 0.518 1
O2 O 0.031 0.915 0.789 1
O3 O 0.035 0.504 0.046 1
O4 O 0.041 0.285 0.296 1
O5 O 0.049 0.419 0.848 1
O6 O 0.056 0.803 0.344 1
O7 O 0.159 0.323 0.050 1
O8 O 0.173 0.844 0.999 1
O9 O 0.175 0.992 0.556 1
O10 O 0.179 0.495 0.497 1
O11 O 0.209 0.602 0.307 1
O12 O 0.214 0.756 0.818 1
O13 O 0.270 0.370 0.677 1
O14 O 0.298 0.072 0.191 1
O15 O 0.317 0.140 0.991 1
O16 O 0.330 0.345 0.496 1
O17 O 0.332 0.076 0.790 1
O18 O 0.362 0.433 0.303 1
O19 O 0.457 0.709 0.704 1
O20 O 0.458 0.915 0.202 1
O21 O 0.472 0.472 0.975 1
O22 O 0.477 0.157 0.448 1
O23 O 0.477 0.995 0.999 1
O24 O 0.484 0.646 0.502 1
O25 O 0.594 0.065 0.649 1
O26 O 0.603 0.711 0.150 1
O27 O 0.605 0.779 0.939 1
O28 O 0.612 0.979 0.457 1
O29 O 0.618 0.226 0.186 1
O30 O 0.619 0.569 0.707 1
O31 O 0.740 0.292 0.846 1
O32 O 0.745 0.626 0.343 1
O33 O 0.770 0.376 0.645 1
O34 O 0.770 0.650 0.941 1
O35 O 0.777 0.278 0.443 1
O36 O 0.782 0.577 0.152 1
O37 O 0.850 0.195 0.042 1
O38 O 0.874 0.113 0.849 1
O39 O 0.880 0.828 0.555 1
O40 O 0.883 0.935 0.349 1
O41 O 0.901 0.197 0.648 1
O42 O 0.908 0.881 0.147 1
```

Values from the calculation:
Excess energy over the best structure of this formula in the dataset: 21.1 meV per atom
E_form: -2.023 eV per atom


No. 2
A relaxed structure of Mn3OF5, computed with PBE with a Hubbard U.

Geometry as CIF:
```
data_Mn3OF5
_space_group_name_H-M_alt 'A m m 2'
_space_group_IT_number 38
_cell_length_a 9.766
_cell_length_b 7.076
_cell_length_c 6.779
_cell_angle_alpha 90.00
_cell_angle_beta 90.00
_cell_angle_gamma 90.00
loop_
_space_group_symop_operation_xyz
'x,y,z'
'-x,-y,z'
'-x,y,z'
'x,-y,z'
'x,y+1/2,z+1/2'
'-x,-y+1/2,z+1/2'
'-x,y+1/2,z+1/2'
'x,-y+1/2,z+1/2'
loop_
_atom_site_label
_atom_site_type_symbol
_atom_site_fract_x
_atom_site_fract_y
_atom_site_fract_z
_atom_site_occupancy
Mn1 Mn 0.000 0.000 0.000 1
Mn2 Mn 0.163 0.000 0.464 1
Mn3 Mn 0.323 0.000 0.995 1
Mn4 Mn 0.500 0.000 0.493 1
O1 O 0.156 0.000 0.172 1
F1 F 0.000 0.196 0.478 1
F2 F 0.153 0.000 0.780 1
F3 F 0.331 0.195 0.483 1
F4 F 0.500 0.000 0.183 1
F5 F 0.500 0.000 0.803 1
```

Values from the calculation:
Excess energy over the best structure of this formula in the dataset: 23.7 meV per atom
E_form: -2.723 eV per atom


No. 3
A relaxed structure of Ba2GdV3O11, computed with PBE with a Hubbard U.

Geometry as CIF:
```
data_Ba2GdV3O11
_space_group_name_H-M_alt 'P 1 21/c 1'
_space_group_IT_number 14
_cell_length_a 12.483
_cell_length_b 7.821
_cell_length_c 11.388
_cell_angle_alpha 90.00
_cell_angle_beta 103.14
_cell_angle_gamma 90.00
loop_
_space_group_symop_operation_xyz
'x,y,z'
'-x,-y,-z'
'-x,y+1/2,-z+1/2'
'x,-y+1/2,z+1/2'
loop_
_atom_site_label
_atom_site_type_symbol
_atom_site_fract_x
_atom_site_fract_y
_atom_site_fract_z
_atom_site_occupancy
Ba1 Ba 0.055 0.248 0.390 1
Ba2 Ba 0.268 0.726 0.942 1
Gd1 Gd 0.498 0.000 0.215 1
V1 V 0.184 0.019 0.173 1
V2 V 0.187 0.019 0.671 1
V3 V 0.405 0.246 0.976 1
O1 O 0.108 0.559 0.769 1
O2 O 0.113 0.563 0.039 1
O3 O 0.125 0.555 0.534 1
O4 O 0.130 0.559 0.281 1
O5 O 0.166 0.250 0.167 1
O6 O 0.286 0.140 0.447 1
O7 O 0.318 0.556 0.718 1
O8 O 0.322 0.551 0.193 1
O9 O 0.382 0.028 0.973 1
O10 O 0.484 0.221 0.365 1
O11 O 0.487 0.217 0.624 1
```

Values from the calculation:
E_form: -2.997 eV per atom


No. 4
A relaxed structure of Na2Li4Co2C4SO16, computed with PBE with a Hubbard U.

Geometry as CIF:
```
data_Na2Li4Co2C4SO16
_space_group_name_H-M_alt 'F d d d'
_space_group_IT_number 70
_cell_length_a 13.248
_cell_length_b 13.878
_cell_length_c 13.913
_cell_angle_alpha 90.00
_cell_angle_beta 90.00
_cell_angle_gamma 90.00
loop_
_space_group_symop_operation_xyz
'x,y,z'
'-x,-y,-z'
'-x+1/4,-y+1/4,z'
'x+1/4,y+1/4,-z'
'x,-y+1/4,-z+1/4'
'-x,y+1/4,z+1/4'
'-x+1/4,y,-z+1/4'
'x+1/4,-y,z+1/4'
'x,y+1/2,z+1/2'
'-x,-y+1/2,-z+1/2'
'-x+1/4,-y+3/4,z+1/2'
'x+1/4,y+3/4,-z+1/2'
'x,-y+3/4,-z+3/4'
'-x,y+3/4,z+3/4'
'-x+1/4,y+1/2,-z+3/4'
'x+1/4,-y+1/2,z+3/4'
'x+1/2,y,z+1/2'
'-x+1/2,-y,-z+1/2'
'-x+3/4,-y+1/4,z+1/2'
'x+3/4,y+1/4,-z+1/2'
'x+1/2,-y+1/4,-z+3/4'
'-x+1/2,y+1/4,z+3/4'
'-x+3/4,y,-z+3/4'
'x+3/4,-y,z+3/4'
'x+1/2,y+1/2,z'
'-x+1/2,-y+1/2,-z'
'-x+3/4,-y+3/4,z'
'x+3/4,y+3/4,-z'
'x+1/2,-y+3/4,-z+1/4'
'-x+1/2,y+3/4,z+1/4'
'-x+3/4,y+1/2,-z+1/4'
'x+3/4,-y+1/2,z+1/4'
loop_
_atom_site_label
_atom_site_type_symbol
_atom_site_fract_x
_atom_site_fract_y
_atom_site_fract_z
_atom_site_occupancy
Na1 Na 0.125 0.125 0.347 1
Li1 Li 0.097 0.327 0.258 1
Co1 Co 0.000 0.000 0.500 1
C1 C 0.025 0.030 0.719 1
S1 S 0.125 0.125 0.125 1
O1 O 0.017 0.101 0.777 1
O2 O 0.043 0.267 0.903 1
O3 O 0.060 0.063 0.062 1
O4 O 0.098 0.282 0.523 1
```

Values from the calculation:
E_form: -1.984 eV per atom


Question: The highest E_form belongs to which entry?
Answer: Na2Li4Co2C4SO16